No. 1
Here is a geometry-optimized Li4Ni7O11 structure from Materials Project. Energies are from PBE+U.

Output
* energy with MP2020 corrections: -6.08 eV/atom
* energy: -4.923 eV per atom

a b c (Å): 5.096 8.757 9.700
angles (deg): 113.79 95.93 95.20
Element x y z (fractional)
Li 0.043 0.185 0.091
Li 0.142 0.541 0.269
Li 0.222 0.912 0.453
Li 0.413 0.637 0.819
Li 0.587 0.363 0.181
Li 0.778 0.088 0.547
Li 0.858 0.459 0.731
Li 0.957 0.815 0.909
Ni 0.044 0.682 0.594
Ni 0.133 0.047 0.772
Ni 0.225 0.409 0.957
Ni 0.317 0.772 0.135
Ni 0.319 0.272 0.635
Ni 0.409 0.137 0.318
Ni 0.500 0.000 0.000
Ni 0.500 0.500 0.500
Ni 0.591 0.863 0.682
Ni 0.681 0.728 0.365
Ni 0.683 0.228 0.865
Ni 0.775 0.591 0.043
Ni 0.867 0.953 0.228
Ni 0.956 0.318 0.406
O 0.015 0.242 0.750
O 0.086 0.116 0.427
O 0.106 0.619 0.945
O 0.198 0.965 0.115
O 0.208 0.477 0.603
O 0.266 0.856 0.795
O 0.284 0.351 0.311
O 0.357 0.195 0.970
O 0.374 0.689 0.479
O 0.451 0.584 0.157
O 0.461 0.081 0.670
O 0.539 0.919 0.330
O 0.549 0.416 0.843
O 0.626 0.311 0.521
O 0.643 0.805 0.030
O 0.716 0.649 0.689
O 0.734 0.144 0.205
O 0.792 0.523 0.397
O 0.802 0.035 0.885
O 0.894 0.381 0.055
O 0.914 0.884 0.573
O 0.985 0.758 0.250

No. 2
Here is a geometry-optimized Li6Fe5P8O28 structure from Materials Project. Energies are from PBE+U.

Output
* energy with MP2020 corrections: -7.45 eV/atom
* energy: -6.803 eV per atom

a b c (Å): 9.123 10.530 13.195
angles (deg): 88.18 72.89 66.86
Element x y z (fractional)
Li 0.000 0.000 0.000
Li 0.000 0.000 0.500
Li 0.319 0.510 0.277
Li 0.376 0.086 0.831
Li 0.386 0.093 0.324
Li 0.401 0.633 0.548
Li 0.423 0.625 0.060
Li 0.577 0.375 0.940
Li 0.599 0.367 0.452
Li 0.614 0.907 0.676
Li 0.624 0.914 0.169
Li 0.681 0.490 0.723
Fe 0.005 0.257 0.568
Fe 0.015 0.255 0.067
Fe 0.304 0.493 0.760
Fe 0.399 0.213 0.112
Fe 0.402 0.209 0.607
Fe 0.598 0.791 0.393
Fe 0.601 0.787 0.888
Fe 0.696 0.507 0.240
Fe 0.985 0.745 0.933
Fe 0.995 0.743 0.432
P 0.043 0.310 0.316
P 0.059 0.308 0.808
P 0.213 0.461 0.529
P 0.213 0.464 0.029
P 0.297 0.945 0.600
P 0.307 0.941 0.098
P 0.308 0.800 0.789
P 0.320 0.805 0.290
P 0.680 0.195 0.710
P 0.692 0.200 0.211
P 0.693 0.059 0.902
P 0.703 0.055 0.400
P 0.787 0.536 0.971
P 0.787 0.539 0.471
P 0.941 0.692 0.192
P 0.957 0.690 0.684
O 0.025 0.211 0.401
O 0.035 0.695 0.269
O 0.037 0.536 0.619
O 0.044 0.543 0.122
O 0.058 0.671 0.763
O 0.081 0.197 0.887
O 0.160 0.042 0.558
O 0.165 0.039 0.059
O 0.172 0.817 0.895
O 0.184 0.819 0.393
O 0.197 0.536 0.927
O 0.209 0.895 0.711
O 0.211 0.538 0.430
O 0.221 0.315 0.023
O 0.222 0.892 0.209
O 0.226 0.311 0.519
O 0.227 0.284 0.261
O 0.230 0.319 0.752
O 0.355 0.463 0.573
O 0.360 0.466 0.063
O 0.402 0.649 0.735
O 0.406 0.013 0.624
O 0.408 0.808 0.528
O 0.413 0.805 0.025
O 0.418 0.009 0.119
O 0.425 0.651 0.238
O 0.430 0.863 0.799
O 0.434 0.876 0.300
O 0.566 0.124 0.700
O 0.570 0.137 0.201
O 0.575 0.349 0.762
O 0.582 0.991 0.881
O 0.587 0.195 0.975
O 0.592 0.192 0.472
O 0.594 0.987 0.376
O 0.598 0.351 0.265
O 0.640 0.534 0.937
O 0.645 0.537 0.427
O 0.770 0.681 0.248
O 0.773 0.716 0.739
O 0.774 0.689 0.481
O 0.778 0.108 0.791
O 0.779 0.685 0.977
O 0.789 0.462 0.570
O 0.791 0.105 0.289
O 0.803 0.464 0.073
O 0.816 0.181 0.607
O 0.828 0.183 0.105
O 0.835 0.961 0.941
O 0.840 0.958 0.442
O 0.919 0.803 0.113
O 0.942 0.329 0.237
O 0.956 0.457 0.878
O 0.963 0.464 0.381
O 0.965 0.305 0.731
O 0.975 0.789 0.599

What did the second record say?
Here is a geometry-optimized Li6Fe5P8O28 structure from Materials Project. Energies are from PBE+U.

Output
* energy with MP2020 corrections: -7.45 eV/atom
* energy: -6.803 eV per atom

a b c (Å): 9.123 10.530 13.195
angles (deg): 88.18 72.89 66.86
Element x y z (fractional)
Li 0.000 0.000 0.000
Li 0.000 0.000 0.500
Li 0.319 0.510 0.277
Li 0.376 0.086 0.831
Li 0.386 0.093 0.324
Li 0.401 0.633 0.548
Li 0.423 0.625 0.060
Li 0.577 0.375 0.940
Li 0.599 0.367 0.452
Li 0.614 0.907 0.676
Li 0.624 0.914 0.169
Li 0.681 0.490 0.723
Fe 0.005 0.257 0.568
Fe 0.015 0.255 0.067
Fe 0.304 0.493 0.760
Fe 0.399 0.213 0.112
Fe 0.402 0.209 0.607
Fe 0.598 0.791 0.393
Fe 0.601 0.787 0.888
Fe 0.696 0.507 0.240
Fe 0.985 0.745 0.933
Fe 0.995 0.743 0.432
P 0.043 0.310 0.316
P 0.059 0.308 0.808
P 0.213 0.461 0.529
P 0.213 0.464 0.029
P 0.297 0.945 0.600
P 0.307 0.941 0.098
P 0.308 0.800 0.789
P 0.320 0.805 0.290
P 0.680 0.195 0.710
P 0.692 0.200 0.211
P 0.693 0.059 0.902
P 0.703 0.055 0.400
P 0.787 0.536 0.971
P 0.787 0.539 0.471
P 0.941 0.692 0.192
P 0.957 0.690 0.684
O 0.025 0.211 0.401
O 0.035 0.695 0.269
O 0.037 0.536 0.619
O 0.044 0.543 0.122
O 0.058 0.671 0.763
O 0.081 0.197 0.887
O 0.160 0.042 0.558
O 0.165 0.039 0.059
O 0.172 0.817 0.895
O 0.184 0.819 0.393
O 0.197 0.536 0.927
O 0.209 0.895 0.711
O 0.211 0.538 0.430
O 0.221 0.315 0.023
O 0.222 0.892 0.209
O 0.226 0.311 0.519
O 0.227 0.284 0.261
O 0.230 0.319 0.752
O 0.355 0.463 0.573
O 0.360 0.466 0.063
O 0.402 0.649 0.735
O 0.406 0.013 0.624
O 0.408 0.808 0.528
O 0.413 0.805 0.025
O 0.418 0.009 0.119
O 0.425 0.651 0.238
O 0.430 0.863 0.799
O 0.434 0.876 0.300
O 0.566 0.124 0.700
O 0.570 0.137 0.201
O 0.575 0.349 0.762
O 0.582 0.991 0.881
O 0.587 0.195 0.975
O 0.592 0.192 0.472
O 0.594 0.987 0.376
O 0.598 0.351 0.265
O 0.640 0.534 0.937
O 0.645 0.537 0.427
O 0.770 0.681 0.248
O 0.773 0.716 0.739
O 0.774 0.689 0.481
O 0.778 0.108 0.791
O 0.779 0.685 0.977
O 0.789 0.462 0.570
O 0.791 0.105 0.289
O 0.803 0.464 0.073
O 0.816 0.181 0.607
O 0.828 0.183 0.105
O 0.835 0.961 0.941
O 0.840 0.958 0.442
O 0.919 0.803 0.113
O 0.942 0.329 0.237
O 0.956 0.457 0.878
O 0.963 0.464 0.381
O 0.965 0.305 0.731
O 0.975 0.789 0.599

- Among the records above, which one has the lowest energy with MP2020 corrections?
  Li6Fe5P8O28

- What is the formula in the first record?
  Li4Ni7O11

Copy entry 1 word for word.
Here is a geometry-optimized Li4Ni7O11 structure from Materials Project. Energies are from PBE+U.

Output
* energy with MP2020 corrections: -6.08 eV/atom
* energy: -4.923 eV per atom

a b c (Å): 5.096 8.757 9.700
angles (deg): 113.79 95.93 95.20
Element x y z (fractional)
Li 0.043 0.185 0.091
Li 0.142 0.541 0.269
Li 0.222 0.912 0.453
Li 0.413 0.637 0.819
Li 0.587 0.363 0.181
Li 0.778 0.088 0.547
Li 0.858 0.459 0.731
Li 0.957 0.815 0.909
Ni 0.044 0.682 0.594
Ni 0.133 0.047 0.772
Ni 0.225 0.409 0.957
Ni 0.317 0.772 0.135
Ni 0.319 0.272 0.635
Ni 0.409 0.137 0.318
Ni 0.500 0.000 0.000
Ni 0.500 0.500 0.500
Ni 0.591 0.863 0.682
Ni 0.681 0.728 0.365
Ni 0.683 0.228 0.865
Ni 0.775 0.591 0.043
Ni 0.867 0.953 0.228
Ni 0.956 0.318 0.406
O 0.015 0.242 0.750
O 0.086 0.116 0.427
O 0.106 0.619 0.945
O 0.198 0.965 0.115
O 0.208 0.477 0.603
O 0.266 0.856 0.795
O 0.284 0.351 0.311
O 0.357 0.195 0.970
O 0.374 0.689 0.479
O 0.451 0.584 0.157
O 0.461 0.081 0.670
O 0.539 0.919 0.330
O 0.549 0.416 0.843
O 0.626 0.311 0.521
O 0.643 0.805 0.030
O 0.716 0.649 0.689
O 0.734 0.144 0.205
O 0.792 0.523 0.397
O 0.802 0.035 0.885
O 0.894 0.381 0.055
O 0.914 0.884 0.573
O 0.985 0.758 0.250